Na14Zr4Sc4Si9S3O48 | the Materials Project | PBE-GGA | optimized geometry; formation energy from the elements = -242.511 eV/f.u.
1.0
18.448 0.009 -0.006
-4.608 7.985 -0.005
-0.007 -0.019 22.871
O Si Na Sc Zr S
144 27 42 12 12 9
Cartesian
6.238 7.866 20.920
4.020 4.177 5.596
6.372 2.426 11.995
3.956 0.968 14.671
17.298 1.455 7.062
5.250 4.134 17.013
1.812 0.308 7.063
-1.801 5.506 10.687
11.993 2.362 0.590
-0.706 3.847 5.865
5.288 6.236 18.529
8.463 3.674 5.815
16.655 0.123 1.979
12.927 1.272 5.563
12.078 7.825 15.850
13.125 4.348 11.909
13.133 0.956 14.634
1.727 5.506 22.297
12.250 7.765 9.454
1.090 1.407 18.499
2.947 2.552 17.020
10.988 5.543 22.305
14.562 4.305 0.551
8.475 3.652 22.147
-0.852 3.967 13.240
3.694 4.004 21.081
16.680 0.254 18.516
0.693 3.707 10.830
14.925 4.118 9.624
10.255 6.729 10.805
2.835 2.893 3.183
3.008 7.784 9.388
5.568 1.313 17.086
13.173 6.352 7.022
3.811 4.359 12.090
3.613 6.718 20.933
10.879 5.122 13.220
15.633 2.886 14.691
10.797 0.194 13.448
10.142 1.323 2.072
10.217 4.060 1.751
-0.713 6.917 19.640
14.597 4.275 17.054
8.221 1.253 13.429
15.617 2.452 12.007
-2.997 7.836 20.879
8.586 6.813 13.177
0.723 1.459 9.469
12.866 6.686 20.845
-1.618 5.294 1.777
9.935 6.960 1.769
3.671 1.343 5.533
8.531 6.918 19.688
7.591 5.440 17.321
8.341 3.912 13.195
-0.584 6.820 13.180
-1.038 6.580 5.849
3.460 1.212 12.019
-1.783 5.481 17.297
9.794 3.773 17.320
14.917 1.125 0.654
0.710 6.979 1.790
12.785 4.007 14.551
5.311 1.196 9.606
9.862 3.658 10.775
1.013 4.072 1.772
9.895 1.450 9.402
13.261 1.152 21.090
7.326 5.102 8.266
-0.710 1.631 20.864
9.897 7.042 8.200
8.158 6.722 22.288
-3.519 6.535 9.420
14.623 6.241 18.411
1.682 5.385 5.775
3.030 2.917 9.629
4.019 1.140 21.091
5.637 4.135 9.656
7.444 0.215 18.503
12.231 2.442 17.055
0.619 6.932 8.295
8.502 1.643 20.890
8.456 1.652 4.542
1.055 3.911 8.226
3.814 6.362 13.417
1.785 5.037 19.686
0.660 1.599 15.877
6.409 2.831 14.675
-2.795 7.753 4.400
5.371 1.008 3.059
-1.142 3.787 19.737
6.383 2.485 5.572
8.079 3.795 19.756
10.981 0.237 7.023
5.717 1.125 0.648
3.508 4.172 14.515
15.442 2.478 5.555
12.917 3.994 21.058
10.830 5.493 5.779
1.635 0.175 13.517
8.094 1.532 6.948
14.916 4.143 3.231
5.696 4.092 3.234
1.087 6.730 10.855
13.152 4.167 5.621
12.221 2.860 9.568
12.035 2.908 3.230
12.663 1.222 12.001
7.613 5.299 1.808
-1.843 5.129 8.289
5.672 6.542 9.398
6.398 2.816 21.145
0.946 6.622 17.229
14.460 6.510 1.970
0.543 3.806 17.281
10.240 3.873 8.154
1.764 5.108 13.209
10.129 6.758 17.231
10.916 5.033 19.750
3.557 6.557 4.365
17.478 1.353 13.442
14.833 1.424 17.081
8.197 6.539 5.816
5.236 6.469 2.004
2.808 2.398 0.581
7.426 0.142 2.027
-3.526 6.480 16.011
12.728 6.597 4.382
-0.606 1.633 4.482
2.854 7.706 15.844
7.402 5.519 10.667
15.627 2.805 21.121
-1.077 6.707 22.261
0.959 1.292 2.004
-0.742 3.630 22.128
9.920 1.670 15.872
5.323 4.285 0.586
3.975 6.337 7.029
10.350 1.410 18.531
14.555 1.230 9.620
6.368 7.744 4.422
14.601 0.954 3.076
5.709 6.634 15.934
13.097 6.525 13.453
12.475 5.657 5.728
1.839 2.656 1.868
1.385 2.949 9.531
1.333 2.361 17.174
17.051 2.366 5.733
15.764 0.066 17.176
3.292 5.680 5.721
11.957 5.330 20.976
6.003 4.978 1.885
5.956 5.588 17.178
3.259 0.289 13.370
10.600 2.351 17.224
7.864 7.696 20.974
10.589 2.953 9.466
16.523 2.717 13.322
15.194 5.009 1.894
-1.358 7.676 20.931
1.911 7.966 17.171
7.372 7.955 5.754
11.092 2.672 1.934
2.731 5.341 20.985
7.303 2.649 13.333
1.382 7.684 9.541
12.427 0.262 13.296
2.735 -0.003 5.768
10.608 7.717 9.528
12.542 5.000 13.267
-4.529 7.914 22.863
-0.076 5.319 15.273
1.791 2.344 20.835
13.667 2.614 18.997
9.183 5.293 15.199
13.811 7.965 11.431
13.791 2.584 7.594
1.589 2.841 5.800
6.300 5.180 5.726
12.515 5.312 9.555
2.964 5.009 17.190
10.996 2.321 20.842
7.517 7.783 1.831
-1.625 2.824 17.035
15.468 0.165 20.833
16.755 2.246 9.579
12.221 0.403 9.518
15.066 0.053 5.814
1.637 7.874 13.394
9.226 5.274 3.869
5.744 5.425 20.923
4.692 7.954 22.762
15.481 5.031 5.629
14.979 5.407 21.066
7.493 2.903 17.012
3.290 5.317 9.465
11.055 2.960 5.783
9.253 0.109 11.471
1.225 2.568 13.324
2.983 5.482 1.865
10.893 7.747 13.303
10.475 2.647 13.306
7.940 7.976 17.138
3.442 0.098 17.148
-0.096 5.216 3.871
6.261 0.164 20.785
7.590 2.323 9.708
4.528 2.650 18.903
12.259 5.473 1.959
4.513 2.520 7.704
-1.804 7.708 1.852
2.891 0.367 9.474
4.699 2.569 15.695
4.597 2.490 11.065
0.160 5.388 18.629
0.019 -0.008 19.414
4.647 7.892 19.374
13.774 2.605 11.092
18.380 0.076 7.966
13.814 2.788 4.267
9.381 5.432 7.232
9.256 0.013 8.029
13.663 2.721 22.494
4.460 2.716 22.445
9.219 5.316 0.418
0.134 5.381 7.112
9.351 5.415 18.513
9.306 5.276 11.924
18.387 0.040 14.740
4.716 7.920 3.380
9.276 0.047 14.899
-0.049 5.307 0.411
-0.027 5.311 11.862
13.777 2.607 15.580
4.517 2.739 4.238
0.058 0.019 3.475
3.276 4.988 13.312
7.855 2.324 5.723
15.182 5.629 17.177
15.194 0.348 1.876
-1.364 2.963 20.935
-2.689 5.313 9.494
5.966 0.355 1.874
7.860 2.971 20.960
6.527 5.318 9.494

SmYIr2 | the Materials Project | PBE-GGA | optimized geometry; formation energy from the elements = -2.893 eV/f.u.
1.0
0.000 3.474 3.474
3.474 0.000 3.474
3.474 3.474 0.000
Y Sm Ir
1 1 2
Cartesian
0.000 0.000 0.000
3.474 3.474 3.474
5.210 5.210 5.210
1.737 1.737 1.737

Te4MoW3Se2S2 | the Materials Project | PBE-GGA | optimized geometry; polymorph energy (0 for the lowest one) = 0.036 eV per atom; formation energy from the elements = -5.062 eV/f.u.
1.0
1.700 -2.944 0.000
1.700 2.944 0.000
0.000 0.000 38.770
Te Se W Mo S
4 2 3 1 2
Cartesian
0.000 0.000 23.609
0.000 0.000 9.041
0.000 0.000 12.808
0.000 0.000 27.376
1.700 0.981 19.864
1.700 0.981 16.552
1.700 0.981 10.924
1.700 0.981 25.493
0.000 0.000 18.208
0.000 0.000 3.643
1.700 0.981 5.145
1.700 0.981 2.140

SrCdP2O7 | the Materials Project | PBE-GGA | optimized geometry; formation energy from the elements = -30.874 eV/f.u.
1.0
-8.562 -0.017 1.380
-0.777 -2.496 -4.848
0.201 -14.207 1.069
O P Sr Cd
28 8 4 4
Cartesian
-7.663 -9.146 0.495
-0.866 -12.876 -2.618
-5.476 -2.038 -0.408
-2.200 -9.885 -2.143
-1.360 -15.371 -2.815
-6.458 -2.854 -3.341
-6.209 -13.937 0.178
-6.154 -7.326 -3.556
-2.928 -2.783 -2.577
-7.651 -9.960 -2.598
-6.938 -6.835 -0.255
-4.806 -10.941 0.211
-5.223 -8.448 0.556
-1.149 -2.287 0.310
-1.474 -7.575 -2.894
-7.989 -14.434 -2.709
-8.182 -5.388 -2.419
-1.487 -6.761 0.199
-2.680 -13.867 0.943
-0.955 -11.332 0.020
-3.424 -4.234 -0.133
-3.915 -8.273 -2.954
-8.272 -3.845 0.219
-3.661 -14.683 -1.991
-7.777 -1.349 0.417
-5.714 -12.487 -2.266
-2.983 -9.394 1.157
-4.332 -5.779 -2.610
-6.265 -0.832 0.164
-2.873 -15.889 -2.562
-4.464 -9.767 1.131
-8.312 -2.671 1.200
-2.397 -8.784 -3.190
-4.673 -6.953 -3.529
-0.826 -14.049 -3.599
-6.740 -7.936 0.791
-1.850 -5.122 -1.955
-7.288 -11.599 -0.443
-3.019 -12.227 -1.216
-6.118 -4.493 -1.183
-3.194 -1.885 -0.474
-7.848 -7.736 -2.168
-1.290 -8.984 -0.231
-5.943 -14.836 -1.925

SmAl3 | the Materials Project | PBE-GGA | optimized geometry; formation energy from the elements = -1.770 eV/f.u.
1.0
-5.892 -2.353 0.926
5.127 -3.380 1.841
-0.156 2.023 4.150
Sm Al
2 6
Cartesian
1.337 -1.520 4.648
-2.258 -2.189 2.268
-4.428 -0.982 4.169
-1.507 -2.908 5.218
-1.072 0.358 3.642
0.151 -4.067 3.274
3.508 -2.727 2.747
0.587 -0.801 1.698

Li4ZrO4 | the Materials Project | PBE-GGA | optimized geometry; formation energy from the elements = -23.844 eV/f.u.
1.0
-8.346 11.663 -3.288
-3.827 -1.722 3.604
0.492 1.830 5.245
O Li Zr
16 16 4
Cartesian
-8.953 12.634 2.435
-7.422 8.969 4.581
-3.006 2.406 4.064
-4.258 0.469 6.001
-5.656 8.681 0.131
-8.675 9.365 1.498
-6.880 6.202 5.807
-6.025 3.089 5.431
-5.333 0.769 3.113
-4.801 5.569 -0.246
-2.728 -0.863 3.127
-6.347 11.001 2.448
-6.804 6.902 2.361
-4.877 4.869 3.201
-7.422 11.302 -0.439
-4.258 2.802 0.981
-4.086 2.590 5.775
-7.089 4.874 2.473
-4.591 6.897 3.088
-8.830 7.372 1.856
-2.319 2.922 1.236
-7.642 7.067 4.171
-4.039 4.704 1.391
-8.032 11.147 1.461
-7.082 9.198 2.668
-3.648 0.624 4.100
-1.031 -0.057 2.304
-2.851 4.399 3.706
-4.599 2.573 2.894
-10.650 11.828 3.258
-9.362 8.849 4.326
-7.595 9.181 -0.214
-6.290 6.816 0.426
-10.653 9.379 1.263
-1.027 2.392 4.299
-5.391 4.955 5.136

KZrCu3Se4 | the Materials Project | PBE-GGA | optimized geometry; formation energy from the elements = -7.648 eV/f.u.
1.0
6.210 0.000 0.000
0.000 6.210 0.000
0.000 0.000 6.210
Cu K Zr Se
3 1 1 4
Cartesian
0.000 3.105 0.000
3.105 0.000 0.000
0.000 0.000 3.105
3.105 3.105 3.105
0.000 0.000 0.000
4.777 1.433 4.777
4.777 4.777 1.433
1.433 1.433 1.433
1.433 4.777 4.777

GdAsO4 | the Materials Project | PBE-GGA | optimized geometry; polymorph energy (0 for the lowest one) = 0.021 eV per atom; formation energy from the elements = -16.720 eV/f.u.
1.0
1.384 -6.364 1.922
4.611 -0.666 4.941
-5.618 3.691 -0.962
Gd O As
2 8 2
Cartesian
0.995 -0.245 3.705
2.997 -3.515 3.432
-0.403 -0.184 1.673
3.229 -1.228 4.063
-1.959 -2.178 2.796
1.716 -4.255 5.302
0.762 -2.532 3.074
-2.446 1.609 0.468
4.395 -3.576 5.464
-3.791 -1.012 0.765
0.000 0.000 0.000
-0.619 -3.094 2.196